First-principles (PBE-GGA) data for a geometry-optimized SiO2 structure, as listed in the Materials Project.

Cell: 9.769 12.323 23.000 Å, 90.00 90.00 90.00°
Sites, in units of the cell vectors:
Si 0.026 0.125 0.182
Si 0.026 0.375 0.182
Si 0.117 0.528 0.078
Si 0.117 0.972 0.078
Si 0.146 0.126 0.655
Si 0.146 0.374 0.655
Si 0.152 0.123 0.972
Si 0.152 0.377 0.972
Si 0.166 0.624 0.363
Si 0.166 0.876 0.363
Si 0.233 0.529 0.758
Si 0.233 0.971 0.758
Si 0.267 0.029 0.258
Si 0.267 0.471 0.258
Si 0.334 0.124 0.863
Si 0.334 0.376 0.863
Si 0.348 0.623 0.472
Si 0.348 0.877 0.472
Si 0.354 0.626 0.155
Si 0.354 0.874 0.155
Si 0.383 0.028 0.578
Si 0.383 0.472 0.578
Si 0.474 0.625 0.682
Si 0.474 0.875 0.682
Si 0.526 0.125 0.318
Si 0.526 0.375 0.318
Si 0.617 0.528 0.422
Si 0.617 0.972 0.422
Si 0.646 0.126 0.845
Si 0.646 0.374 0.845
Si 0.652 0.123 0.528
Si 0.652 0.377 0.528
Si 0.666 0.624 0.137
Si 0.666 0.876 0.137
Si 0.733 0.529 0.742
Si 0.733 0.971 0.742
Si 0.767 0.029 0.242
Si 0.767 0.471 0.242
Si 0.834 0.124 0.637
Si 0.834 0.376 0.637
Si 0.848 0.623 0.028
Si 0.848 0.877 0.028
Si 0.854 0.626 0.345
Si 0.854 0.874 0.345
Si 0.883 0.028 0.922
Si 0.883 0.472 0.922
Si 0.974 0.625 0.818
Si 0.974 0.875 0.818
O 0.003 0.614 0.377
O 0.003 0.886 0.377
O 0.008 0.608 0.046
O 0.008 0.892 0.046
O 0.037 0.044 0.126
O 0.037 0.456 0.126
O 0.041 0.250 0.159
O 0.124 0.611 0.788
O 0.124 0.889 0.788
O 0.146 0.099 0.228
O 0.146 0.401 0.228
O 0.154 0.043 0.709
O 0.154 0.457 0.709
O 0.164 0.250 0.679
O 0.183 0.250 0.986
O 0.186 0.052 0.030
O 0.186 0.448 0.030
O 0.203 0.551 0.307
O 0.203 0.949 0.307
O 0.205 0.750 0.350
O 0.235 0.601 0.108
O 0.235 0.899 0.108
O 0.249 0.081 0.919
O 0.249 0.419 0.919
O 0.251 0.581 0.419
O 0.251 0.919 0.419
O 0.265 0.101 0.608
O 0.265 0.399 0.608
O 0.295 0.250 0.850
O 0.297 0.051 0.807
O 0.297 0.449 0.807
O 0.314 0.552 0.530
O 0.314 0.948 0.530
O 0.317 0.750 0.486
O 0.336 0.750 0.179
O 0.346 0.543 0.209
O 0.346 0.957 0.209
O 0.354 0.599 0.728
O 0.354 0.901 0.728
O 0.376 0.111 0.288
O 0.376 0.389 0.288
O 0.459 0.750 0.659
O 0.463 0.544 0.626
O 0.463 0.956 0.626
O 0.492 0.108 0.546
O 0.492 0.392 0.546
O 0.497 0.114 0.877
O 0.497 0.386 0.877
O 0.503 0.614 0.123
O 0.503 0.886 0.123
O 0.508 0.608 0.454
O 0.508 0.892 0.454
O 0.537 0.044 0.374
O 0.537 0.456 0.374
O 0.541 0.250 0.341
O 0.624 0.611 0.712
O 0.624 0.889 0.712
O 0.646 0.099 0.272
O 0.646 0.401 0.272
O 0.654 0.043 0.791
O 0.654 0.457 0.791
O 0.664 0.250 0.821
O 0.683 0.250 0.514
O 0.686 0.052 0.470
O 0.686 0.448 0.470
O 0.703 0.551 0.193
O 0.703 0.949 0.193
O 0.705 0.750 0.150
O 0.735 0.601 0.392
O 0.735 0.899 0.392
O 0.749 0.081 0.581
O 0.749 0.419 0.581
O 0.751 0.581 0.081
O 0.751 0.919 0.081
O 0.765 0.101 0.892
O 0.765 0.399 0.892
O 0.795 0.250 0.650
O 0.797 0.051 0.693
O 0.797 0.449 0.693
O 0.814 0.552 0.970
O 0.814 0.948 0.970
O 0.817 0.750 0.014
O 0.836 0.750 0.321
O 0.846 0.543 0.291
O 0.846 0.957 0.291
O 0.854 0.599 0.772
O 0.854 0.901 0.772
O 0.876 0.111 0.212
O 0.876 0.389 0.212
O 0.959 0.750 0.841
O 0.963 0.544 0.874
O 0.963 0.956 0.874
O 0.992 0.108 0.954
O 0.992 0.392 0.954
O 0.997 0.114 0.623
O 0.997 0.386 0.623

Calculated values
Crystal system: orthorhombic
Magnetic moment in μB/cell: 0.000
Formation enthalpy at 0 K in eV/f.u.: -9.77